Here is a relaxed InH12C4Se2Cl3 crystal from Materials Project. Energies are from PBE-GGA.

Calculated values
Calculated total energy (eV/atom): -4.535

Cell lengths 11.6651, 11.7609, 18.3036 Å; angles 90.00, 90.00, 90.00 degrees
Closest atoms and distances in Å follow each position.
Space group Pbca (No. 61)
Unique sites:
1 In 0.0780 0.0719 0.0832 x8  4 Cl 2.47-2.68
2 H 0.0165 0.1124 0.7785 x8  1 C 1.09
3 H 0.0223 0.5831 0.0445 x8  1 C 1.09
4 H 0.0263 0.1022 0.2686 x8  1 C 1.09
5 H 0.0814 0.6712 0.7883 x8  1 C 1.09
6 H 0.0904 0.0024 0.6136 x8  1 C 1.10
7 H 0.0914 0.7140 0.6946 x8  1 C 1.10
8 H 0.1205 0.6617 0.9223 x8  1 C 1.09
9 H 0.1318 0.0579 0.3360 x8  1 C 1.09
10 H 0.1322 0.6448 0.1008 x8  1 C 1.10
11 H 0.1647 0.1701 0.2729 x8  1 C 1.10
12 H 0.2335 0.1372 0.8931 x8  1 C 1.10
13 H 0.2374 0.7268 0.9709 x8  1 C 1.09
14 C 0.0702 0.6440 0.7317 x8  3 H 1.09-1.10
15 C 0.1019 0.5669 0.0742 x8  3 H 1.09-1.10
16 C 0.1171 0.0905 0.2809 x8  3 H 1.09-1.10
17 C 0.2097 0.6523 0.9398 x8  3 H 1.09-1.10
18 Se 0.1802 0.5212 0.7117 x8  2 C 1.97
19 Se 0.2183 0.5168 0.0030 x8  2 C 1.97
20 Cl 0.0123 0.6362 0.5402 x8  2 In 2.61-2.68
21 Cl 0.1077 0.5900 0.3530 x8  1 In 2.47, 1 H 2.72
22 Cl 0.1564 0.2365 0.6138 x8  1 In 2.50

---

Here is a relaxed NiS2 crystal from Materials Project. Energies are from PBE-GGA.

Calculated values
Calculated total energy (eV/atom): -4.941

Cell lengths 4.1906, 5.2501, 5.3430 Å; angles 90.00, 114.65, 90.00 degrees
Closest atoms and distances in Å follow each position.
Space group P2_1/c (No. 14)
Unique sites:
1 Ni 0.0000 0.0000 0.0000 x2  4 S 2.18-2.19
2 S 0.1498 0.1167 0.6723 x4  1 S 2.13, 2 Ni 2.18-2.19

---

Here is a relaxed Ni2RhS4 crystal from Materials Project. Energies are from PBE-GGA.

Calculated values
Calculated total energy (eV/atom): -5.481

Cell lengths 6.7733, 6.8285, 9.5945 Å; angles 90.00, 90.00, 90.00 degrees
Closest atoms and distances in Å follow each position.
Space group Imma (No. 74)
Unique sites:
1 Ni 0.0000 0.2500 0.1260 x4  4 S 2.19
2 Ni 0.2500 0.2500 0.7500 x4  6 S 2.30-2.32
3 Rh 0.0000 0.0000 0.5000 x4  6 S 2.36-2.38
4 S 0.0000 0.0171 0.7474 x8  3 Ni 2.19-2.32, 1 Rh 2.38
5 S 0.2409 0.2500 0.5106 x8  2 Ni 2.19-2.30, 2 Rh 2.36

---

Here is a relaxed ZrTlO3 crystal from Materials Project. Energies are from PBE-GGA.

Calculated values
Calculated total energy (eV/atom): -7.195

Cell lengths 4.2126, 4.2126, 4.2126 Å; angles 90.00, 90.00, 90.00 degrees
Closest atoms and distances in Å follow each position.
Space group Pm-3m (No. 221)
Unique sites:
1 Zr 0.0000 0.0000 0.0000 x1  6 O 2.11
2 Tl 0.5000 0.5000 0.5000 x1  12 O 2.98
3 O 0.0000 0.0000 0.5000 x3  2 Zr 2.11

---

Here is a relaxed Mn10Si3Ge3 crystal from Materials Project. Energies are from PBE-GGA.

Calculated values
Calculated total energy (eV/atom): -7.825

Cell lengths 7.0187, 7.0187, 4.8850 Å; angles 90.00, 90.00, 120.00 degrees
Closest atoms and distances in Å follow each position.
Space group P-62m (No. 189)
Unique sites:
1 Mn 0.0000 0.2431 0.0000 x3  3 Si 2.42-2.54, 2 Ge 2.67
2 Mn 0.0000 0.7565 0.5000 x3  3 Ge 2.44-2.51, 2 Si 2.66
3 Mn 0.3333 0.6667 0.2442 x4  2 Mn 2.39-2.50, 3 Si 2.46, 3 Ge 2.49
4 Si 0.0000 0.6050 0.0000 x3  9 Mn 2.42-2.66
5 Ge 0.0000 0.3982 0.5000 x3  9 Mn 2.44-2.67

---

Here is a relaxed Li3Ti2P3O12 crystal from Materials Project. Energies are from PBE-GGA.

Calculated values
Calculated total energy (eV/atom): -7.307

Cell lengths 14.9893, 8.8556, 8.5830 Å; angles 90.00, 122.45, 90.00 degrees
Closest atoms and distances in Å follow each position.
Space group C2/c (No. 15)
Unique sites:
1 Li 0.0000 0.1321 0.2500 x4  4 O 2.11-2.24
2 Li 0.1860 0.3711 0.2917 x8  4 O 2.00-2.18
3 Ti 0.1055 0.2479 0.6408 x8  6 O 1.94-2.11
4 P 0.0000 0.4494 0.2500 x4  4 O 1.54-1.58
5 P 0.1402 0.1128 0.0458 x8  4 O 1.54-1.55
6 O 0.0444 0.1608 0.0571 x8  1 P 1.55
7 O 0.0628 0.4581 0.6887 x8  1 P 1.54
8 O 0.0863 0.3421 0.4034 x8  1 P 1.58
9 O 0.1157 0.1468 0.8499 x8  1 P 1.55
10 O 0.1636 0.0591 0.5770 x8  1 P 1.55
11 O 0.2359 0.2020 0.1984 x8  1 P 1.54

---

Here is a relaxed SmAsO4 crystal from Materials Project. Energies are from PBE-GGA.

Calculated values
Calculated total energy (eV/atom): -7.187

Cell lengths 6.7167, 7.1176, 8.2909 Å; angles 90.00, 126.14, 90.00 degrees
Closest atoms and distances in Å follow each position.
Space group P2_1/c (No. 14)
Unique sites:
1 Sm 0.1890 0.1498 0.2829 x4  8 O 2.41-2.60
2 As 0.3102 0.6622 0.1977 x4  4 O 1.72
3 O 0.1040 0.6544 0.6054 x4  1 As 1.72
4 O 0.1690 0.0053 0.7476 x4  1 As 1.72
5 O 0.3519 0.6063 0.0173 x4  1 As 1.72
6 O 0.3880 0.2141 0.1154 x4  1 As 1.72

---

Here is a relaxed Ho2TeS2 crystal from Materials Project. Energies are from PBE-GGA.

Calculated values
Calculated total energy (eV/atom): -5.970

Cell lengths 4.1739, 5.3528, 13.3752 Å; angles 90.00, 90.00, 90.00 degrees
Closest atoms and distances in Å follow each position.
Space group Immm (No. 71)
Unique sites:
1 Ho 0.0000 0.0000 0.1676 x4  4 S 2.71-2.72
2 Te 0.0000 0.5000 0.5000 x2  4 Ho 3.06
3 S 0.0000 0.5000 0.2015 x4  4 Ho 2.71-2.72

---

Here is a relaxed Th2CrN3 crystal from Materials Project. Energies are from PBE-GGA.

Calculated values
Calculated total energy (eV/atom): -9.597

Cell lengths 3.5617, 3.7886, 12.9171 Å; angles 90.00, 90.00, 90.00 degrees
Closest atoms and distances in Å follow each position.
Space group Immm (No. 71)
Unique sites:
1 Th 0.0000 0.0000 0.1455 x4  7 N 2.46-2.61
2 Cr 0.0000 0.0000 0.5000 x2  2 N 1.89
3 N 0.0000 0.0000 0.3356 x4  1 Cr 2.12
4 N 0.0000 0.5000 0.5000 x2  2 Cr 1.89

---

Here is a relaxed CeGePt crystal from Materials Project. Energies are from PBE-GGA.

Calculated values
Calculated total energy (eV/atom): -6.659

Cell lengths 4.5016, 14.6312, 7.7253 Å; angles 90.00, 90.00, 90.00 degrees
Closest atoms and distances in Å follow each position.
Space group Pmmn (No. 59, origin choice 2)
Unique sites:
1 Ce 0.2500 0.0032 0.2112 x4  6 Pt 3.01-3.26, 6 Ge 3.12-3.30
2 Ce 0.2500 0.2500 0.2971 x2  6 Ge 3.10-3.14, 6 Pt 3.26-3.32
3 Ce 0.2500 0.7500 0.2925 x2  6 Pt 3.13-3.22, 6 Ge 3.26-3.27
4 Ge 0.2500 0.1007 0.5889 x4  3 Pt 2.62-2.63
5 Ge 0.2500 0.6548 0.9117 x4  3 Pt 2.60-2.65, 1 Ge 2.79
6 Pt 0.2500 0.1405 0.9208 x4  3 Ge 2.60-2.63
7 Pt 0.2500 0.6012 0.5844 x4  3 Ge 2.62-2.65

---

Here is a relaxed Sm2Co17H3 crystal from Materials Project. Energies are from PBE-GGA.

Calculated values
Calculated total energy (eV/atom): -6.486

Cell lengths 8.4458, 8.4458, 12.1477 Å; angles 90.00, 90.00, 120.00 degrees
Closest atoms and distances in Å follow each position.
Space group R-3m (No. 166, hexagonal axes)
Unique sites:
1 Sm 0.0000 0.0000 0.1551 x6  3 H 2.44
2 Co 0.0000 0.0000 0.4038 x6  7 Co 2.34-2.60
3 Co 0.0000 0.2826 0.5000 x18  1 H 1.84
4 Co 0.0000 0.5000 0.0000 x9  10 Co 2.38-2.58
5 Co 0.0079 0.5039 0.3485 x18  1 H 1.84
6 H 0.0000 0.5000 0.5000 x9  4 Co 1.84

---

Which value of calculated total energy does entry 11 give?
-6.486 eV/atom

---

Look up the calculated total energy of the eleventh one.
-6.486 eV/atom

---

Copy entry 6 word for word.
Here is a relaxed Li3Ti2P3O12 crystal from Materials Project. Energies are from PBE-GGA.

Calculated values
Calculated total energy (eV/atom): -7.307

Cell lengths 14.9893, 8.8556, 8.5830 Å; angles 90.00, 122.45, 90.00 degrees
Closest atoms and distances in Å follow each position.
Space group C2/c (No. 15)
Unique sites:
1 Li 0.0000 0.1321 0.2500 x4  4 O 2.11-2.24
2 Li 0.1860 0.3711 0.2917 x8  4 O 2.00-2.18
3 Ti 0.1055 0.2479 0.6408 x8  6 O 1.94-2.11
4 P 0.0000 0.4494 0.2500 x4  4 O 1.54-1.58
5 P 0.1402 0.1128 0.0458 x8  4 O 1.54-1.55
6 O 0.0444 0.1608 0.0571 x8  1 P 1.55
7 O 0.0628 0.4581 0.6887 x8  1 P 1.54
8 O 0.0863 0.3421 0.4034 x8  1 P 1.58
9 O 0.1157 0.1468 0.8499 x8  1 P 1.55
10 O 0.1636 0.0591 0.5770 x8  1 P 1.55
11 O 0.2359 0.2020 0.1984 x8  1 P 1.54